# 1
VASP calculation (PBE-GGA) on crystalline CsSi at its relaxed geometry.

a b c (Å): 11.4765 11.4765 18.6565
angles (deg): 90.00 90.00 90.00
Space group I4_1/acd (No. 142, origin choice 2)
Asymmetric unit:
1 Cs 0.1209 0.1291 0.1250 (multiplicity 16)
2 Cs 0.1405 0.0000 0.7500 (multiplicity 16)
3 Si 0.0568 0.1601 0.9208 (multiplicity 32)

ΔH_f (0 K) = -0.0013 eV per atom
Excess energy over the best structure of this formula in the dataset = 4.5 kJ/mol of formula units

---

# 2
VASP calculation (PBE-GGA) on crystalline CsSiTe3 at its relaxed geometry.

a b c (Å): 8.6580 14.3023 13.6817
angles (deg): 90.00 100.58 90.00
Space group Cc (No. 9)
Asymmetric unit:
1 Cs 0.0000 0.0895 0.0000 (multiplicity 4)
2 Cs 0.4043 0.2495 0.2235 (multiplicity 4)
3 Si 0.0437 0.4438 0.0243 (multiplicity 4)
4 Si 0.4049 0.0745 0.7804 (multiplicity 4)
5 Te 0.0161 0.3860 0.4615 (multiplicity 4)
6 Te 0.1330 0.4955 0.2080 (multiplicity 4)
7 Te 0.1710 0.0278 0.2802 (multiplicity 4)
8 Te 0.2363 0.3478 0.9582 (multiplicity 4)
9 Te 0.2670 0.1320 0.4978 (multiplicity 4)
10 Te 0.3452 0.2277 0.6884 (multiplicity 4)

Largest piezoelectric modulus = 0.19 C/m²
ΔH_f (0 K) = -0.7230 eV per atom

---

# 3
VASP calculation (PBE-GGA) on crystalline CsSn3 at its relaxed geometry.

a b c (Å): 8.1754 8.1754 5.4929
angles (deg): 90.00 90.00 120.00
Space group P6_3/mmc (No. 194)
Asymmetric unit:
1 Cs 0.3333 0.6667 0.2500 (multiplicity 2)
2 Sn 0.1253 0.2505 0.7500 (multiplicity 6)

ΔH_f (0 K) = -0.1519 eV per atom

---

# 4
VASP calculation (PBE-GGA) on crystalline Cs4Sn2Te7 at its relaxed geometry.

a b c (Å): 16.8865 8.0531 19.6309
angles (deg): 90.00 105.75 90.00
Space group C2/c (No. 15)
Asymmetric unit:
1 Cs 0.0903 0.2296 0.4384 (multiplicity 8)
2 Cs 0.2442 0.2178 0.8524 (multiplicity 8)
3 Sn 0.0464 0.2667 0.6538 (multiplicity 8)
4 Te 0.0000 0.0425 0.7500 (multiplicity 4)
5 Te 0.0756 0.4340 0.2356 (multiplicity 8)
6 Te 0.0843 0.2757 0.9637 (multiplicity 8)
7 Te 0.2026 0.2061 0.6437 (multiplicity 8)

ΔH_f (0 K) = -0.8999 eV per atom

---

# 5
VASP calculation (PBE-GGA) on crystalline Cs3SnTe3 at its relaxed geometry.

a b c (Å): 17.9259 14.7907 10.5519
angles (deg): 90.00 96.24 90.00
Space group C2/c (No. 15)
Asymmetric unit:
1 Cs 0.0000 0.0858 0.2500 (multiplicity 4)
2 Cs 0.0000 0.3960 0.2500 (multiplicity 4)
3 Cs 0.0947 0.3085 0.6362 (multiplicity 8)
4 Cs 0.2187 0.0264 0.6856 (multiplicity 8)
5 Sn 0.1758 0.2586 0.0452 (multiplicity 8)
6 Te 0.0803 0.1305 0.9232 (multiplicity 8)
7 Te 0.1185 0.4306 0.9772 (multiplicity 8)
8 Te 0.1858 0.2331 0.3091 (multiplicity 8)

ΔH_f (0 K) = -1.0486 eV per atom

---

# 6
VASP calculation (PBE-GGA) on crystalline CsTaTe3 at its relaxed geometry.

a b c (Å): 8.3198 8.3198 6.4010
angles (deg): 90.00 90.00 120.00
Space group P6_3mc (No. 186)
Asymmetric unit:
1 Cs 0.3333 0.6667 0.0000 (multiplicity 2)
2 Ta 0.0000 0.0000 0.2191 (multiplicity 2)
3 Te 0.1607 0.3215 0.4918 (multiplicity 6)

ΔH_f (0 K) = -0.8467 eV per atom

---

# 7
VASP calculation (PBE-GGA) on crystalline CsTbZnTe3 at its relaxed geometry.

a b c (Å): 4.4404 17.3097 11.7842
angles (deg): 90.00 90.00 90.00
Space group Cmcm (No. 63)
Asymmetric unit:
1 Cs 0.0000 0.2454 0.2500 (multiplicity 4)
2 Tb 0.0000 0.5000 0.0000 (multiplicity 4)
3 Zn 0.0000 0.0387 0.7500 (multiplicity 4)
4 Te 0.0000 0.1198 0.5563 (multiplicity 8)
5 Te 0.0000 0.4422 0.7500 (multiplicity 4)

M_tot = 0.000 μB/f.u.
ΔH_f (0 K) = -1.3117 eV per atom

---

# 8
VASP calculation (PBE-GGA) on crystalline Cs2Te3 at its relaxed geometry.

a b c (Å): 8.7045 12.4833 8.7592
angles (deg): 90.00 90.00 90.00
Space group Cmc2_1 (No. 36)
Asymmetric unit:
1 Cs 0.0000 0.0835 0.0000 (multiplicity 4)
2 Cs 0.0000 0.4087 0.7877 (multiplicity 4)
3 Te 0.0000 0.2809 0.3443 (multiplicity 4)
4 Te 0.2499 0.1674 0.6521 (multiplicity 8)

Largest piezoelectric modulus = 0.56 C/m²
ΔH_f (0 K) = -0.9959 eV per atom

---

# 9
VASP calculation (PBE-GGA) on crystalline CsTe4 at its relaxed geometry.

a b c (Å): 8.1754 7.3429 14.2728
angles (deg): 90.00 93.59 90.00
Space group P2_1/c (No. 14)
Asymmetric unit:
1 Cs 0.1438 0.1207 0.3522 (multiplicity 4)
2 Te 0.1289 0.6082 0.4681 (multiplicity 4)
3 Te 0.3502 0.5175 0.2132 (multiplicity 4)
4 Te 0.3776 0.5589 0.6255 (multiplicity 4)
5 Te 0.4634 0.1939 0.5670 (multiplicity 4)

ΔH_f (0 K) = -0.7293 eV per atom

---

# 10
VASP calculation (PBE-GGA) on crystalline CsTe7 at its relaxed geometry.

a b c (Å): 19.3099 19.3099 13.6916
angles (deg): 90.00 90.00 90.00
Space group P4/ncc (No. 130, origin choice 2)
Asymmetric unit:
1 Cs 0.0063 0.5063 0.2500 (multiplicity 8)
2 Cs 0.2500 0.2500 0.0067 (multiplicity 4)
3 Cs 0.2500 0.7500 0.0000 (multiplicity 4)
4 Te 0.0020 0.2487 0.5366 (multiplicity 16)
5 Te 0.0533 0.5953 0.9934 (multiplicity 16)
6 Te 0.0552 0.0924 0.0068 (multiplicity 16)
7 Te 0.0966 0.7009 0.3280 (multiplicity 16)
8 Te 0.0975 0.1994 0.3183 (multiplicity 16)
9 Te 0.0998 0.6880 0.6973 (multiplicity 16)
10 Te 0.1064 0.1809 0.7028 (multiplicity 16)

M_tot = 0.001 μB/f.u.
ΔH_f (0 K) = -0.5840 eV per atom

---

# 11
VASP calculation (PBE-GGA) on crystalline Cs3Ti3Te11 at its relaxed geometry.

a b c (Å): 11.1345 16.1174 18.7142
angles (deg): 90.00 126.00 90.00
Space group P2_1/c (No. 14)
Asymmetric unit:
1 Cs 0.0681 0.0284 0.1508 (multiplicity 4)
2 Cs 0.2117 0.6215 0.9387 (multiplicity 4)
3 Cs 0.4291 0.1109 0.8789 (multiplicity 4)
4 Ti 0.1532 0.7028 0.1783 (multiplicity 4)
5 Ti 0.1581 0.2165 0.9819 (multiplicity 4)
6 Ti 0.4547 0.1902 0.1787 (multiplicity 4)
7 Te 0.0509 0.2138 0.8114 (multiplicity 4)
8 Te 0.0830 0.1148 0.4768 (multiplicity 4)
9 Te 0.1044 0.5429 0.2182 (multiplicity 4)
10 Te 0.1324 0.6959 0.5507 (multiplicity 4)
11 Te 0.1939 0.2199 0.6332 (multiplicity 4)
12 Te 0.2836 0.0700 0.0500 (multiplicity 4)
13 Te 0.3376 0.6672 0.3635 (multiplicity 4)
14 Te 0.3527 0.5758 0.1894 (multiplicity 4)
15 Te 0.3564 0.6659 0.7353 (multiplicity 4)
16 Te 0.4201 0.1565 0.3120 (multiplicity 4)
17 Te 0.4319 0.2056 0.5475 (multiplicity 4)

M_tot = 1.078 μB/f.u.
ΔH_f (0 K) = -1.0167 eV per atom